# MgTi2O5 | the Materials Project | PBE | relaxed
# * VASP energy: -8.241 eV/atom
# * total moment: 0.000 μB per atom
# * formation enthalpy at 0 K: -3.40 eV/atom
# * energy relative to the lowest polymorph listed for this composition: 22 meV per atom
data_MgTi2O5
_chemical_formula_sum 'Mg4 Ti8 O20'
_cell_length_a 3.776
_cell_length_b 9.968
_cell_length_c 9.949
_cell_angle_alpha 90.00
_cell_angle_beta 90.00
_cell_angle_gamma 90.00
_space_group_name_H-M_alt 'C m c 21'
_space_group_IT_number 36
loop_
_space_group_symop_operation_xyz
'x,y,z'
'-x,-y,z+1/2'
'-x,y,z'
'x,-y,z+1/2'
'x+1/2,y+1/2,z'
'-x+1/2,-y+1/2,z+1/2'
'-x+1/2,y+1/2,z'
'x+1/2,-y+1/2,z+1/2'
loop_
_atom_site_label
_atom_site_fract_x
_atom_site_fract_y
_atom_site_fract_z
Mg1 0.000 0.142 0.000
Ti1 0.000 0.135 0.378
Ti2 0.000 0.186 0.682
O1 0.000 0.041 0.813
O2 0.000 0.050 0.552
O3 0.000 0.254 0.198
O4 0.000 0.295 0.514
O5 0.000 0.317 0.855

# Pr2Co16Cu | the Materials Project | PBE | relaxed
# * VASP energy: -6.725 eV/atom
# * total moment: 1.233 μB per atom
# * formation enthalpy at 0 K: -0.02 eV/atom
data_Pr2Co16Cu
_chemical_formula_sum 'Pr6 Co48 Cu3'
_cell_length_a 8.4410
_cell_length_b 8.4410
_cell_length_c 12.1122
_cell_angle_alpha 90.00
_cell_angle_beta 90.00
_cell_angle_gamma 120.00
_space_group_name_H-M_alt 'R 3 m'
_space_group_IT_number 160
_space_group_name_Hall 'R 3 -2"'
loop_
_atom_site_label
_atom_site_fract_x
_atom_site_fract_y
_atom_site_fract_z
Pr1 0.0000 0.0000 0.0000
Pr2 0.0000 0.0000 0.3113
Co1 0.0000 0.0000 0.5524
Co2 0.9998 0.2830 0.6556
Co3 0.0016 0.5008 0.5013
Co4 0.0044 0.5022 0.1551
Co5 0.1691 0.3382 0.1438
Cu1 0.0000 0.0000 0.7543

# BPd3 | the Materials Project | PBE | relaxed
# * VASP energy: -5.813 eV/atom
# * formation enthalpy at 0 K: -0.26 eV/atom
data_BPd3
_chemical_formula_sum 'B4 Pd12'
_cell_length_a 5.535
_cell_length_b 7.709
_cell_length_c 4.898
_cell_angle_alpha 90.00
_cell_angle_beta 90.00
_cell_angle_gamma 90.00
_space_group_name_H-M_alt 'P n m a'
_space_group_IT_number 62
loop_
_space_group_symop_operation_xyz
'x,y,z'
'-x,-y,-z'
'-x+1/2,-y,z+1/2'
'x+1/2,y,-z+1/2'
'x+1/2,-y+1/2,-z+1/2'
'-x+1/2,y+1/2,z+1/2'
'-x,y+1/2,-z'
'x,-y+1/2,z'
loop_
_atom_site_label
_atom_site_fract_x
_atom_site_fract_y
_atom_site_fract_z
B1 0.112 0.250 0.066
Pd1 0.039 0.750 0.342
Pd2 0.179 0.572 0.826